# BeTlAsO4, optimized geometry, DFT PBE-GGA
data_BeTlAsO4
_cell_length_a 9.9597
_cell_length_b 8.3716
_cell_length_c 5.0206
_cell_angle_alpha 90.00
_cell_angle_beta 90.00
_cell_angle_gamma 90.00
_symmetry_space_group_name_H-M 'P 1'
_symmetry_Int_Tables_number 1
loop_
_symmetry_equiv_pos_as_xyz
'x,y,z'
loop_
_atom_site_label
_atom_site_type_symbol
_atom_site_fract_x
_atom_site_fract_y
_atom_site_fract_z
_atom_site_occupancy
Be1 Be 0.1432 0.1253 0.0000 1
Be2 Be 0.3568 0.6253 0.5000 1
Be3 Be 0.6432 0.3747 0.0000 1
Be4 Be 0.8568 0.8747 0.5000 1
Tl1 Tl 0.0467 0.3568 0.5101 1
Tl2 Tl 0.4533 0.8568 0.0101 1
Tl3 Tl 0.5467 0.1432 0.5101 1
Tl4 Tl 0.9533 0.6432 0.0101 1
As1 As 0.1672 0.9247 0.4996 1
As2 As 0.3328 0.4247 0.9996 1
As3 As 0.6672 0.5753 0.4996 1
As4 As 0.8328 0.0753 0.9996 1
O1 O 0.0167 0.8305 0.5503 1
O2 O 0.1793 0.0977 0.6847 1
O3 O 0.1941 0.9708 0.1701 1
O4 O 0.2076 0.2978 0.0985 1
O5 O 0.2924 0.7978 0.5985 1
O6 O 0.3059 0.4708 0.6701 1
O7 O 0.3207 0.5977 0.1847 1
O8 O 0.4833 0.3305 0.0503 1
O9 O 0.5167 0.6695 0.5503 1
O10 O 0.6793 0.4023 0.6847 1
O11 O 0.6941 0.5292 0.1701 1
O12 O 0.7076 0.2022 0.0985 1
O13 O 0.7924 0.7022 0.5985 1
O14 O 0.8059 0.0292 0.6701 1
O15 O 0.8207 0.9023 0.1847 1
O16 O 0.9833 0.1695 0.0503 1
# DFT total energy = -0.221 hartree per atom
# Energy relative to the elements = -2.042 eV/atom
# Crystal system = orthorhombic